# 1
{"formula": "ZnNi2O4", "functional": "PBE+U", "state": "relaxed", "magnetic_moment_mub_per_atom": 0.333, "space_group": "No. 156", "e_form_ev_per_atom": -1.18, "volume_a3_per_cell": 436.4, "cell": [[-1.569, 5.225, 2.227], [-1.682, -4.971, 2.681], [12.101, 0.222, 8.003]], "species": ["O", "Ni", "O", "Zn", "Zn", "O", "O", "Ni", "O", "O", "Ni", "O", "Ni", "O", "O", "O", "O", "Zn", "Zn", "O", "Ni", "Ni", "Ni", "O", "O", "Ni", "O", "O", "O", "O", "O", "O", "Ni", "Ni", "Ni", "Zn", "O", "O", "Zn", "O", "O", "Ni"], "fractional_positions": [[0.817, 0.634, 0.247], [0.665, 0.833, 0.834], [0.174, 0.347, 0.091], [0.667, 0.333, 0.954], [0.333, 0.667, 0.376], [0.693, 0.847, 0.572], [0.667, 0.333, 0.092], [0.167, 0.335, 0.834], [0.153, 0.307, 0.572], [0.174, 0.826, 0.091], [0.667, 0.333, 0.334], [0.333, 0.667, 0.754], [0.833, 0.167, 0.499], [0.485, 0.971, 0.906], [0.966, 0.483, 0.423], [0.653, 0.826, 0.091], [0.333, 0.667, 0.239], [0.000, 0.000, 0.667], [0.333, 0.667, 0.620], [0.000, 0.000, 0.916], [0.833, 0.667, 0.499], [0.167, 0.833, 0.834], [0.501, 0.499, 0.167], [0.667, 0.333, 0.576], [0.366, 0.183, 0.247], [0.667, 0.333, 0.714], [0.517, 0.034, 0.423], [0.846, 0.693, 0.762], [0.307, 0.154, 0.762], [0.485, 0.515, 0.906], [0.153, 0.847, 0.572], [0.817, 0.183, 0.247], [0.998, 0.499, 0.167], [0.333, 0.167, 0.499], [0.501, 0.002, 0.167], [0.000, 0.000, 0.289], [0.517, 0.483, 0.423], [0.029, 0.515, 0.906], [0.333, 0.667, 0.001], [0.846, 0.154, 0.762], [0.000, 0.000, 0.424], [0.000, 0.000, 0.044]]}

***

# 2
{"formula": "SrEuNiO4", "functional": "PBE+U", "state": "relaxed", "magnetic_moment_mub_per_atom": 1.000, "space_group": "No. 63", "e_form_ev_per_atom": -2.38, "volume_a3_per_cell": 182.9, "cell": [[1.370, 4.428, 4.881], [-2.668, -6.179, 0.110], [4.988, -2.144, 0.545]], "species": ["O", "Ni", "O", "Ni", "O", "O", "Sr", "Sr", "O", "O", "Eu", "O", "Eu", "O"], "fractional_positions": [[0.000, 0.500, 0.000], [0.249, 0.751, 0.250], [0.000, 0.500, 0.500], [0.751, 0.249, 0.750], [0.409, 0.591, 0.250], [0.500, 0.000, 0.000], [0.393, 0.607, 0.750], [0.607, 0.393, 0.250], [0.079, 0.921, 0.250], [0.591, 0.409, 0.750], [0.112, 0.888, 0.750], [0.921, 0.079, 0.750], [0.888, 0.112, 0.250], [0.500, 0.000, 0.500]]}

***

# 3
{"formula": "La2Mn3Sb3O14", "functional": "PBE+U", "state": "relaxed", "magnetic_moment_mub_per_atom": 0.000, "e_form_ev_per_atom": -2.44, "volume_a3_per_cell": 575.8, "cell": [[-5.245, -0.016, -5.274], [5.154, -10.415, -5.214], [-0.019, -5.248, 5.276]], "species": ["O", "O", "O", "La", "Sb", "O", "Mn", "O", "O", "Mn", "O", "O", "Mn", "O", "O", "O", "O", "O", "Sb", "Sb", "O", "O", "O", "O", "Mn", "Mn", "La", "Sb", "Mn", "O", "La", "O", "O", "O", "O", "O", "O", "O", "O", "O", "Sb", "Sb", "O", "La"], "fractional_positions": [[0.252, 0.410, 0.418], [0.697, 0.945, 0.858], [0.341, 0.588, 0.571], [0.250, 0.250, 0.000], [0.250, 0.750, 0.000], [0.671, 0.410, 0.838], [0.000, 0.500, 0.500], [0.537, 0.788, 0.577], [0.197, 0.445, 0.858], [0.500, 0.000, 0.500], [0.659, 0.412, 0.429], [0.958, 0.715, 0.827], [0.500, 0.500, 0.500], [0.542, 0.785, 0.173], [0.865, 0.212, 0.825], [0.463, 0.212, 0.423], [0.963, 0.712, 0.423], [0.829, 0.090, 0.162], [0.250, 0.250, 0.500], [0.750, 0.250, 0.000], [0.042, 0.285, 0.173], [0.748, 0.590, 0.582], [0.037, 0.288, 0.577], [0.841, 0.088, 0.571], [0.000, 0.000, 0.500], [0.000, 0.000, 0.000], [0.500, 0.000, 0.000], [0.250, 0.750, 0.500], [0.500, 0.500, 0.000], [0.159, 0.912, 0.429], [0.000, 0.500, 0.000], [0.635, 0.288, 0.175], [0.135, 0.788, 0.175], [0.329, 0.590, 0.162], [0.171, 0.910, 0.838], [0.803, 0.555, 0.142], [0.248, 0.090, 0.582], [0.458, 0.215, 0.827], [0.365, 0.712, 0.825], [0.752, 0.910, 0.418], [0.750, 0.750, 0.500], [0.750, 0.250, 0.500], [0.303, 0.055, 0.142], [0.750, 0.750, 0.000]]}

***

# 4
{"formula": "Li7Co5O12", "functional": "PBE+U", "state": "relaxed", "magnetic_moment_mub_per_atom": 0.125, "space_group": "No. 1", "e_form_ev_per_atom": -1.70, "volume_a3_per_cell": 422.1, "cell": [[5.028, -0.072, 5.867], [-4.968, 0.030, 7.086], [-4.189, -6.472, -0.144]], "species": ["O", "Co", "O", "O", "Li", "Co", "Li", "Li", "Li", "Li", "Li", "O", "O", "Co", "O", "Li", "Li", "O", "O", "O", "O", "Li", "O", "O", "Li", "Co", "Li", "Co", "O", "O", "Co", "Co", "O", "O", "Li", "O", "O", "Li", "O", "Co", "O", "O", "O", "O", "Li", "Co", "Co", "O"], "fractional_positions": [[0.097, 0.172, 0.047], [0.905, 0.250, 0.158], [0.010, 0.431, 0.215], [0.280, 0.662, 0.722], [0.585, 0.251, 0.832], [0.497, 0.499, 0.993], [0.208, 0.386, 0.080], [0.085, 0.748, 0.838], [0.119, 0.630, 0.249], [0.616, 0.129, 0.249], [0.789, 0.628, 0.917], [0.831, 0.065, 0.122], [0.335, 0.434, 0.548], [0.257, 0.253, 0.501], [0.900, 0.829, 0.963], [0.882, 0.369, 0.754], [0.541, 0.374, 0.410], [0.830, 0.936, 0.549], [0.431, 0.187, 0.376], [0.991, 0.560, 0.777], [0.564, 0.826, 0.614], [0.047, 0.873, 0.414], [0.514, 0.930, 0.213], [0.332, 0.567, 0.118], [0.703, 0.889, 0.076], [0.670, 0.001, 0.673], [0.970, 0.109, 0.596], [0.332, 0.002, 0.331], [0.493, 0.058, 0.773], [0.655, 0.568, 0.453], [0.169, 0.502, 0.673], [0.834, 0.499, 0.333], [0.787, 0.161, 0.727], [0.153, 0.070, 0.453], [0.465, 0.610, 0.593], [0.677, 0.441, 0.891], [0.954, 0.672, 0.404], [0.378, 0.870, 0.748], [0.177, 0.941, 0.892], [0.407, 0.752, 0.157], [0.218, 0.827, 0.268], [0.387, 0.340, 0.943], [0.711, 0.329, 0.264], [0.598, 0.673, 0.043], [0.286, 0.130, 0.916], [0.000, 0.996, 0.998], [0.758, 0.745, 0.508], [0.071, 0.328, 0.624]]}

***

| no. | ρ (g/cm3) |
| --- | --- |
| 1 | 5.63 |
| 2 | 6.58 |
| 3 | 5.95 |
| 4 | 4.21 |